Here is a relaxed Pr5Ge3O13 crystal from the Materials Project. Energies are from r²SCAN.

The crystal system is hexagonal. For the total energy, the calculation gives -654.36 eV for the cell shown.

abc: 9.8470 9.8470 7.2599
angles: 90.00 90.00 120.00
Space group P6_3/m (No. 176)
Inequivalent atoms, fractional coordinates:
Pr  0.0088  0.2407  0.2500 (multiplicity 6)
Pr  0.3333  0.6667  0.0000 (multiplicity 4)
Ge  0.0279  0.3982  0.7500 (multiplicity 6)
O  0.0000  0.0000  0.2500 (multiplicity 2)
O  0.1022  0.3474  0.5561 (multiplicity 12)
O  0.1301  0.6056  0.7500 (multiplicity 6)
O  0.1772  0.6892  0.2500 (multiplicity 6)

***

Here is a relaxed Sr2GeS8O28 crystal from the Materials Project. Energies are from r²SCAN.

The crystal system is monoclinic. For the total energy, the calculation gives -681.27 eV for the cell shown.

abc: 6.962 13.051 13.325
angles: 90.00 114.11 90.00
Space group P2_1/c (No. 14)
Inequivalent atoms, fractional coordinates:
Sr  0.142  0.136  0.341 (multiplicity 4)
Ge  0.500  0.000  0.000 (multiplicity 2)
S  0.215  0.150  0.060 (multiplicity 4)
S  0.235  0.084  0.770 (multiplicity 4)
S  0.317  0.528  0.105 (multiplicity 4)
S  0.377  0.721  0.411 (multiplicity 4)
O  0.041  0.034  0.750 (multiplicity 4)
O  0.113  0.231  0.985 (multiplicity 4)
O  0.132  0.119  0.135 (multiplicity 4)
O  0.191  0.738  0.315 (multiplicity 4)
O  0.194  0.604  0.130 (multiplicity 4)
O  0.236  0.006  0.493 (multiplicity 4)
O  0.252  0.060  0.998 (multiplicity 4)
O  0.253  0.190  0.802 (multiplicity 4)
O  0.281  0.083  0.665 (multiplicity 4)
O  0.358  0.627  0.471 (multiplicity 4)
O  0.420  0.023  0.850 (multiplicity 4)
O  0.452  0.187  0.138 (multiplicity 4)
O  0.461  0.043  0.341 (multiplicity 4)
O  0.467  0.697  0.985 (multiplicity 4)

***

Here is a relaxed Sc2Ge2O7 crystal from the Materials Project. Energies are from r²SCAN.

The crystal system is cubic. For the total energy, the calculation gives -984.13 eV for the cell shown.

abc: 9.624 9.624 9.624
angles: 90.00 90.00 90.00
Space group Fd-3m (No. 227, origin choice 2)
Inequivalent atoms, fractional coordinates:
Sc  0.000  0.000  0.000 (multiplicity 16)
Ge  0.000  0.000  0.500 (multiplicity 16)
O  0.082  0.375  0.875 (multiplicity 48)
O  0.125  0.125  0.125 (multiplicity 8)

***

Here is a relaxed ThGeO4 crystal from the Materials Project. Energies are from r²SCAN.

The crystal system is tetragonal. For the total energy, the calculation gives -517.86 eV for the cell shown.

abc: 7.254 7.254 6.566
angles: 90.00 90.00 90.00
Space group I4_1/amd (No. 141, origin choice 2)
Inequivalent atoms, fractional coordinates:
Th  0.000  0.250  0.375 (multiplicity 4)
Ge  0.000  0.250  0.875 (multiplicity 4)
O  0.000  0.068  0.698 (multiplicity 16)

***

Here is a relaxed TiTl2Ge3O9 crystal from the Materials Project. Energies are from r²SCAN.

The crystal system is hexagonal. For the total energy, the calculation gives -487.40 eV for the cell shown.

abc: 6.9849 6.9849 10.3776
angles: 90.00 90.00 120.00
Space group P6_3/m (No. 176)
Inequivalent atoms, fractional coordinates:
Ti  0.0000  0.0000  0.0000 (multiplicity 2)
Tl  0.3333  0.6667  0.0542 (multiplicity 4)
Ge  0.1207  0.3664  0.7500 (multiplicity 6)
O  0.0000  0.2304  0.6078 (multiplicity 12)
O  0.0650  0.5900  0.7500 (multiplicity 6)

***

Here is a relaxed Tm2Ge2O7 crystal from the Materials Project. Energies are from r²SCAN.

The crystal system is tetragonal. For the total energy, the calculation gives -687.05 eV for the cell shown.

abc: 6.730 6.730 12.250
angles: 90.00 90.00 90.00
Space group P4_12_12 (No. 92)
Inequivalent atoms, fractional coordinates:
Tm  0.127  0.355  0.114 (multiplicity 8)
Ge  0.101  0.150  0.632 (multiplicity 8)
O  0.036  0.079  0.871 (multiplicity 8)
O  0.065  0.662  0.179 (multiplicity 8)
O  0.143  0.321  0.294 (multiplicity 8)
O  0.196  0.196  0.500 (multiplicity 4)

***

Here is a relaxed VGeO4 crystal from the Materials Project. Energies are from r²SCAN.

The crystal system is orthorhombic. For the total energy, the calculation gives -258.58 eV for the cell shown.

abc: 4.299 11.159 4.697
angles: 90.00 90.00 90.00
Space group Pbcn (No. 60)
Inequivalent atoms, fractional coordinates:
V  0.000  0.056  0.250 (multiplicity 4)
Ge  0.000  0.315  0.250 (multiplicity 4)
O  0.227  0.188  0.078 (multiplicity 8)
O  0.244  0.438  0.090 (multiplicity 8)

***

Here is a relaxed Y2GeO5 crystal from the Materials Project. Energies are from r²SCAN.

The crystal system is monoclinic. The excess energy over the best structure of this formula in the dataset comes out at 0.2 kJ/mol of atoms.

abc: 9.318 6.923 6.762
angles: 90.00 99.31 90.00
Space group P2_1/c (No. 14)
Inequivalent atoms, fractional coordinates:
Y  0.030  0.120  0.230 (multiplicity 4)
Y  0.349  0.142  0.988 (multiplicity 4)
Ge  0.300  0.601  0.989 (multiplicity 4)
O  0.105  0.120  0.917 (multiplicity 4)
O  0.109  0.646  0.975 (multiplicity 4)
O  0.281  0.067  0.285 (multiplicity 4)
O  0.364  0.072  0.670 (multiplicity 4)
O  0.401  0.690  0.490 (multiplicity 4)